VASP calculation (PBE) on Li3GaB2O6 after structural relaxation.

```
Li3GaB2O6
1.0
4.975 0.000 0.000
0.037 6.528 0.000
0.114 2.379 7.731
O Ga B Li
12 2 4 6
Direct
0.784 0.489 0.816
0.712 0.340 0.480
0.780 0.207 0.081
0.289 0.991 0.285
0.288 0.660 0.520
0.711 0.009 0.715
0.220 0.793 0.919
0.392 0.259 0.898
0.875 0.808 0.391
0.608 0.741 0.102
0.216 0.511 0.184
0.125 0.192 0.609
0.360 0.047 0.779
0.640 0.953 0.221
0.344 0.678 0.072
0.656 0.322 0.928
0.843 0.182 0.597
0.157 0.818 0.403
0.337 0.397 0.424
0.663 0.603 0.576
0.159 0.252 0.114
0.841 0.748 0.886
0.148 0.469 0.731
0.852 0.531 0.269
```

Output
Formation energy ... -2.608 eV/atom
Total magnetic moment ... 0.0 Bohr magnetons per cell
Space-group type ... No. 2

VASP calculation (PBE) on Mg6GaB after structural relaxation.

```
Mg6GaB
1.0
3.270 -5.107 0.000
3.270 5.107 0.000
0.000 0.000 4.630
Mg Ga B
6 1 1
Direct
0.171 0.829 0.000
0.134 0.324 0.000
0.358 0.152 0.500
0.676 0.866 0.000
0.848 0.642 0.500
0.666 0.334 0.000
0.346 0.654 0.500
0.801 0.199 0.500
```

Output
Energy relative to the lowest polymorph listed for this composition ... 0.1324 eV/atom
Formation energy ... 0.305 eV/atom
Total magnetic moment ... 0.0 Bohr magnetons per cell
Space-group type ... No. 38

VASP calculation (PBE) on Mg14GaB after structural relaxation.

```
Mg14GaB
1.0
-3.513 3.014 4.122
4.624 -3.641 1.943
6.343 7.869 -0.348
Mg Ga B
14 1 1
Direct
0.329 0.171 0.369
0.329 0.171 0.881
0.168 0.834 0.625
0.843 0.171 0.881
0.833 0.667 0.376
0.666 0.332 0.625
0.843 0.171 0.369
0.833 0.667 0.874
0.329 0.657 0.369
0.165 0.832 0.125
0.666 0.834 0.625
0.329 0.657 0.881
0.668 0.335 0.125
0.668 0.832 0.125
0.167 0.333 0.625
0.167 0.333 0.125
```

Output
Energy relative to the lowest polymorph listed for this composition ... 0.0000 eV/atom
Formation energy ... 0.148 eV/atom
Total magnetic moment ... 0.0 Bohr magnetons per cell
Space-group type ... No. 187

VASP calculation (PBE) on Mg14GaB after structural relaxation.

```
Mg14GaB
1.0
-3.077 -2.732 -4.682
6.458 -0.074 0.261
-0.304 -8.438 5.122
Mg Ga B
14 1 1
Direct
0.312 0.641 0.914
0.745 0.365 0.125
0.660 0.329 0.625
0.312 0.171 0.336
0.826 0.663 0.379
0.826 0.663 0.871
0.312 0.641 0.336
0.660 0.832 0.625
0.175 0.837 0.625
0.312 0.171 0.914
0.174 0.337 0.625
0.825 0.162 0.374
0.825 0.162 0.876
0.745 0.880 0.125
0.182 0.841 0.125
0.108 0.304 0.125
```

Output
Energy relative to the lowest polymorph listed for this composition ... 0.0051 eV/atom
Formation energy ... 0.153 eV/atom
Space-group type ... No. 38

VASP calculation (PBE) on Mg6GaB after structural relaxation.

```
Mg6GaB
1.0
4.020 -4.791 0.000
4.020 4.791 0.000
0.000 0.000 4.045
B Mg Ga
1 6 1
Direct
0.984 0.016 0.000
0.688 0.950 0.500
0.358 0.642 0.000
0.385 0.159 0.000
0.841 0.615 0.000
0.131 0.869 0.500
0.050 0.312 0.500
0.564 0.436 0.500
```

Output
Energy relative to the lowest polymorph listed for this composition ... 0.0000 eV/atom
Formation energy ... 0.172 eV/atom
Total magnetic moment ... 0.0 Bohr magnetons per cell
Space-group type ... No. 38

VASP calculation (PBE) on Mg14GaBO16 after structural relaxation.

```
Mg14GaBO16
1.0
8.552 0.000 0.000
0.000 8.548 0.000
0.000 0.000 4.253
Mg O Ga B
14 16 1 1
Direct
0.500 0.248 0.500
0.249 0.244 0.000
0.000 0.757 0.500
0.249 0.756 0.000
0.500 0.000 0.000
0.247 0.000 0.500
0.500 0.752 0.500
0.751 0.244 0.000
0.000 0.243 0.500
0.753 0.000 0.500
0.748 0.500 0.500
0.500 0.500 0.000
0.252 0.500 0.500
0.751 0.756 0.000
0.248 0.250 0.500
0.000 0.725 0.000
0.000 0.000 0.500
0.264 0.000 0.000
0.246 0.500 0.000
0.736 0.000 0.000
0.500 0.000 0.500
0.000 0.500 0.500
0.500 0.254 0.000
0.500 0.746 0.000
0.752 0.250 0.500
0.000 0.275 0.000
0.754 0.500 0.000
0.500 0.500 0.500
0.248 0.750 0.500
0.752 0.750 0.500
0.000 0.500 0.000
0.000 0.000 0.000
```

Output
Energy relative to the lowest polymorph listed for this composition ... 0.0000 eV/atom
Formation energy ... -2.726 eV/atom
Space-group type ... No. 47

VASP calculation (PBE) on Mg14GaBO16 after structural relaxation.

```
Mg14GaBO16
1.0
8.568 0.000 0.000
0.000 8.568 0.000
0.000 0.000 4.260
Mg O Ga B
14 16 1 1
Direct
0.000 0.500 0.000
0.754 0.500 0.500
0.757 0.243 0.000
0.243 0.243 0.000
0.500 0.754 0.500
0.757 0.757 0.000
0.243 0.757 0.000
0.000 0.244 0.500
0.244 0.000 0.500
0.756 0.000 0.500
0.500 0.000 0.000
0.246 0.500 0.500
0.000 0.756 0.500
0.500 0.246 0.500
0.750 0.250 0.500
0.500 0.737 0.000
0.263 0.500 0.000
0.000 0.000 0.500
0.000 0.268 0.000
0.500 0.263 0.000
0.250 0.750 0.500
0.250 0.250 0.500
0.268 0.000 0.000
0.000 0.500 0.500
0.500 0.500 0.500
0.000 0.732 0.000
0.750 0.750 0.500
0.500 0.000 0.500
0.737 0.500 0.000
0.732 0.000 0.000
0.500 0.500 0.000
0.000 0.000 0.000
```

Output
Energy relative to the lowest polymorph listed for this composition ... 0.0128 eV/atom
Formation energy ... -2.713 eV/atom
Total magnetic moment ... 0.0 Bohr magnetons per cell
Space-group type ... No. 123

VASP calculation (PBE) on MgGaBO4 after structural relaxation.

```
MgGaBO4
1.0
3.114 0.000 0.000
0.000 9.316 0.000
0.000 0.000 9.400
O Ga Mg B
16 4 4 4
Direct
0.250 0.008 0.114
0.250 0.741 0.003
0.750 0.492 0.614
0.250 0.242 0.756
0.750 0.980 0.371
0.750 0.258 0.256
0.750 0.992 0.886
0.750 0.259 0.997
0.750 0.758 0.244
0.750 0.480 0.129
0.250 0.508 0.386
0.250 0.520 0.871
0.250 0.241 0.497
0.250 0.020 0.629
0.250 0.742 0.744
0.750 0.759 0.503
0.750 0.885 0.070
0.750 0.385 0.430
0.250 0.615 0.570
0.250 0.115 0.930
0.750 0.896 0.687
0.250 0.104 0.313
0.250 0.604 0.187
0.750 0.396 0.813
0.250 0.664 0.873
0.250 0.164 0.627
0.750 0.836 0.373
0.750 0.336 0.127
```

Output
Formation energy ... -2.750 eV/atom
Total magnetic moment ... 0.0 Bohr magnetons per cell
Space-group type ... No. 62

Question: Which value of formation energy does entry 6 give?
Answer: -2.726 eV/atom